VOF: optimized geometry, PBE with a Hubbard U.

The structure in POSCAR format:
```
VOF
1.0
3.102 0.000 0.000
0.000 4.746 0.000
0.000 0.419 18.932
O V F
8 8 8
Cartesian
0.000 3.921 15.600
1.551 3.659 3.771
1.551 1.003 0.955
1.551 4.375 18.018
0.000 1.822 12.783
0.000 3.576 10.890
0.000 3.229 6.187
0.000 1.452 8.049
0.000 4.426 4.722
1.551 2.700 11.834
1.551 3.166 16.562
0.000 0.510 14.202
1.551 2.316 2.367
0.000 0.127 0.005
0.000 4.888 9.468
1.551 2.319 7.100
1.551 4.253 13.280
0.000 3.314 1.454
1.551 1.495 15.159
1.551 0.847 5.604
0.000 2.008 17.440
1.551 1.141 10.394
0.000 1.331 3.325
1.551 3.889 8.548
```

Calculated values
* space-group type: Pm (6)
* total moment: 2.0 μB/f.u.
* energy relative to the elements: -270.3 kJ per mole of atoms